Entry 1:
Compound: AgBi2WO8
Source: the Materials Project database
Functional: PBE+U
Structure: optimized geometry

Cell: 8.2877 7.6819 7.6819 Å, 97.49 116.85 116.85°
Closest atoms and distances in Å follow each position.
Element x y z (fractional)
O 0.1360 0.3134 0.0697  1 W 2.03, 1 Bi 2.21, 1 Ag 2.21
O 0.8640 0.6866 0.9303  1 W 2.03, 1 Bi 2.21, 1 Ag 2.21
Ag 0.6012 0.7221 0.7221  3 O 2.01-2.21
W 0.0000 0.7538 0.2462  6 O 1.87-2.03
Bi 0.9908 0.2538 0.2538  6 O 2.07-2.21
O 0.6528 0.9914 0.9914  3 Bi 2.17-2.37
O 0.8495 0.4384 0.1639  1 W 2.00, 1 Bi 2.21
Bi 0.0092 0.7462 0.7462  6 O 2.07-2.21
Bi 0.5000 0.8297 0.1703  6 O 2.37-2.44
O 0.3472 0.0086 0.0086  3 Bi 2.17-2.37
O 0.2556 0.8009 0.2767  1 W 1.87
O 0.2692 0.5285 0.5285  1 Ag 2.01, 1 Bi 2.07
W 0.0000 0.2462 0.7538  6 O 1.87-2.03
Bi 0.5000 0.1703 0.8297  6 O 2.37-2.44
O 0.1505 0.8361 0.5616  1 W 2.00, 1 Bi 2.21
O 0.7444 0.7233 0.1991  1 W 1.87
Ag 0.3988 0.2779 0.2779  3 O 2.01-2.21
O 0.1360 0.0697 0.3134  1 W 2.03, 1 Bi 2.21, 1 Ag 2.21
O 0.1505 0.5616 0.8361  1 W 2.00, 1 Bi 2.21
O 0.8640 0.9303 0.6866  1 W 2.03, 1 Bi 2.21, 1 Ag 2.21
O 0.8495 0.1639 0.4384  1 W 2.00, 1 Bi 2.21
O 0.2556 0.2767 0.8009  1 W 1.87
O 0.7444 0.1991 0.7233  1 W 1.87
O 0.7308 0.4715 0.4715  1 Ag 2.01, 1 Bi 2.07

Output
* M_tot: 2.00 μB/cell
* formation enthalpy at 0 K: -16.77 eV per formula unit
* calculated total energy: -0.4287 Ry per atom
* space group: C2/m

=====

Entry 2:
Compound: Mn6O5F7
Source: the Materials Project database
Functional: PBE+U
Structure: optimized geometry

Cell: 4.7321 5.7230 15.5754 Å, 90.05 90.66 91.61°
Closest atoms and distances in Å follow each position.
Element x y z (fractional)
O 0.6998 0.6295 0.6379  3 Mn 1.97-2.05
F 0.7462 0.1190 0.9745  2 Mn 2.08-2.13
O 0.2861 0.3942 0.3558  3 Mn 1.88-2.02
Mn 0.4964 0.3467 0.5819  2 O 2.00-2.05, 4 F 2.06-2.11
O 0.2842 0.5990 0.8508  3 Mn 1.95-2.06
O 0.2301 0.1170 0.1987  3 Mn 1.91-2.06
O 0.7228 0.6072 0.9730  3 Mn 1.99-2.04
F 0.7614 0.8846 0.4755  3 Mn 2.05-2.21
F 0.2529 0.3922 0.6891  3 Mn 2.05-2.06
Mn 0.0032 0.1592 0.0867  5 F 2.02-2.14, 1 O 2.06
F 0.2472 0.6012 0.5239  3 Mn 2.10-2.15
O 0.2973 0.6153 0.1910  3 Mn 1.97-2.01
Mn 0.4711 0.3513 0.2511  3 O 1.88-1.97, 1 F 2.02
O 0.2304 0.8901 0.3597  3 Mn 1.90-2.02
F 0.7606 0.6162 0.2999  3 Mn 2.04-2.20
F 0.2579 0.3954 0.0264  3 Mn 2.02-2.15
F 0.7649 0.1235 0.3078  3 Mn 2.12-2.31
F 0.7361 0.3909 0.4690  3 Mn 2.11-2.18
Mn 0.4839 0.6625 0.4110  2 O 1.96-1.97, 3 F 2.05-2.18
O 0.2092 0.8955 0.6981  3 Mn 1.92-2.00
O 0.2215 0.1089 0.8637  3 Mn 1.92-2.06
F 0.7473 0.8791 0.8092  3 Mn 2.00-2.14
Mn 0.0529 0.8457 0.2506  3 O 1.90-2.01, 2 F 2.04-2.06
Mn 0.0164 0.8181 0.9138  3 O 2.04-2.06, 2 F 2.09-2.10
F 0.7123 0.3668 0.1449  3 Mn 2.02-2.14
Mn 0.4822 0.6644 0.7441  3 O 1.95-2.00, 2 F 2.00-2.05
O 0.2260 0.1078 0.5320  3 Mn 2.00-2.03
Mn 0.5109 0.6503 0.0811  2 O 1.99-2.00, 4 F 2.03-2.14
F 0.2330 0.8865 0.0298  3 Mn 2.07-2.13
Mn 0.0229 0.1433 0.7566  2 O 1.92, 4 F 2.00-2.14
F 0.7620 0.1320 0.6503  3 Mn 2.05-2.20
Mn 0.9948 0.8494 0.5900  3 O 1.97-2.03, 3 F 2.10-2.20
Mn 0.4936 0.3565 0.9107  3 O 1.96-2.02, 3 F 2.08-2.15
F 0.7909 0.8658 0.1443  3 Mn 2.03-2.14
F 0.7522 0.3782 0.7991  2 Mn 2.00-2.14
Mn 0.0395 0.1568 0.4180  3 O 2.00-2.02, 3 F 2.15-2.21

Output
* distance to the lowest polymorph of the same formula: 42 meV per atom
* M_tot: 50.00 μB/cell
* formation enthalpy at 0 K: -43.17 eV per formula unit
* calculated total energy: -0.4884 Ry per atom
* space group: P1

=====

Entry 3:
Compound: Fe4AgPXe2F6
Source: the Materials Project database
Functional: PBE+U
Structure: optimized geometry

Cell: 10.6971 10.6971 10.6971 Å, 123.10 123.10 84.70°
Closest atoms and distances in Å follow each position.
Element x y z (fractional)
Fe 0.8088 0.0734 0.8112  1 F 1.85
Fe 0.9266 0.7377 0.7353  1 F 1.85
F 0.3271 0.0743 0.5888  1 Fe 1.85
Fe 0.5024 0.2377 0.8112  1 F 1.85
Fe 0.0024 0.1912 0.2647  1 F 1.85
P 0.0000 0.0000 0.0000  2 F 1.85
Xe 0.0180 0.4820 0.0000  2 F 3.20
Ag 0.0000 0.5000 0.5000  4 F 2.40
P 0.5000 0.5000 0.0000  2 F 1.85
Ag 0.5000 0.0000 0.5000  4 F 2.40
F 0.8830 0.8830 0.0000  1 P 1.85
Fe 0.7623 0.5734 0.2647  1 F 1.85
Xe 0.4820 0.0180 0.0000  2 F 3.20
F 0.1170 0.1170 0.0000  1 P 1.85
Fe 0.4266 0.6912 0.1888  1 F 1.85
Fe 0.2623 0.9976 0.1888  1 F 1.85
F 0.2617 0.6729 0.7472  1 Fe 1.85
F 0.4257 0.1729 0.4112  1 Fe 1.85
F 0.8271 0.2383 0.2528  1 Fe 1.85
F 0.7617 0.0144 0.5888  1 Fe 1.85
Fe 0.3088 0.4976 0.7353  1 F 1.85
F 0.3830 0.3830 0.0000  1 P 1.85
F 0.9257 0.5144 0.2528  1 Fe 1.85
Xe 0.9820 0.9820 0.4640  2 F 3.20
F 0.6170 0.6170 0.0000  1 P 1.85
F 0.4856 0.7383 0.4112  1 Fe 1.85
Xe 0.5180 0.5180 0.5360  2 F 3.20
F 0.9856 0.5743 0.7472  1 Fe 1.85

Output
* M_tot: 28.00 μB/cell
* formation enthalpy at 0 K: -11.58 eV per formula unit
* calculated total energy: -0.2807 Ry per atom
* space group: I-4c2

=====

Entry 4:
Compound: Li7Cr2O8
Source: the Materials Project database
Functional: PBE+U
Structure: optimized geometry

Cell: 5.1766 5.1861 7.8101 Å, 70.87 83.02 68.53°
Closest atoms and distances in Å follow each position.
Element x y z (fractional)
O 0.1634 0.1828 0.9725  1 Cr 1.80, 3 Li 1.98-2.00
Li 0.2613 0.9483 0.5624  5 O 2.07-2.31
O 0.0025 0.6971 0.6316  1 Cr 1.80, 2 Li 1.94-2.00
O 0.4791 0.1633 0.6331  1 Cr 1.77, 2 Li 1.94
Li 0.7111 0.8090 0.8026  4 O 1.94-2.03
Cr 0.7136 0.6023 0.2351  4 O 1.72-1.74
Li 0.7414 0.0389 0.4523  4 O 1.94-2.03
O 0.5181 0.4434 0.1714  1 Cr 1.72
O 0.5438 0.8311 0.3660  1 Cr 1.74
O 0.9620 0.3102 0.3787  1 Cr 1.74
Li 0.2402 0.7710 0.9891  4 O 1.99-2.14
Li 0.7551 0.4994 0.5887  4 O 2.02-2.16
Li 0.2767 0.2021 0.2024  4 O 2.00-2.04
O 0.5009 0.5633 0.8022  1 Cr 1.82, 3 Li 1.96-2.03
Cr 0.2756 0.3887 0.7628  4 O 1.77-1.82
Li 0.7628 0.2377 0.9946  4 O 1.98-2.06
O 0.8386 0.8017 0.0398  1 Cr 1.74

Output
* M_tot: 3.00 μB/cell
* formation enthalpy at 0 K: -36.29 eV per formula unit
* calculated total energy: -0.4282 Ry per atom
* space group: P1
* piezoelectric modulus e_max: 1.67 C/m2

=====

Entry 5:
Compound: Ba3Fe2WO9
Source: the Materials Project database
Functional: PBE+U
Structure: optimized geometry

Cell: 5.8601 5.8601 14.3842 Å, 90.00 90.00 120.00°
Closest atoms and distances in Å follow each position.
Element x y z (fractional)
O 0.6714 0.8357 0.0803  2 Fe 1.94-1.98
Fe 0.0000 0.0000 0.0066  6 O 1.98-2.18
O 0.1643 0.3286 0.0803  2 Fe 1.94-1.98
Ba 0.0000 0.0000 0.2463  12 O 2.91-2.98
O 0.8288 0.1712 0.9147  1 W 1.95, 1 Fe 2.18
O 0.0308 0.5154 0.2548  1 W 1.98, 1 Fe 2.22
Ba 0.3333 0.6667 0.6001  12 O 2.89-3.13
O 0.8357 0.6714 0.5803  2 Fe 1.94-1.98
O 0.5154 0.0308 0.7548  1 W 1.98, 1 Fe 2.22
O 0.1712 0.8288 0.4147  1 W 1.95, 1 Fe 2.18
O 0.1643 0.8357 0.0803  2 Fe 1.94-1.98
O 0.6575 0.8288 0.4147  1 W 1.95, 1 Fe 2.18
Ba 0.0000 0.0000 0.7463  12 O 2.91-2.98
O 0.5154 0.4846 0.7548  1 W 1.98, 1 Fe 2.22
Fe 0.0000 0.0000 0.5066  6 O 1.98-2.18
W 0.6667 0.3333 0.8415  6 O 1.95-1.98
Ba 0.3333 0.6667 0.9124  12 O 2.92-2.96
O 0.3425 0.1712 0.9147  1 W 1.95, 1 Fe 2.18
O 0.8357 0.1643 0.5803  2 Fe 1.94-1.98
Ba 0.6667 0.3333 0.4124  12 O 2.92-2.96
O 0.9692 0.4846 0.7548  1 W 1.98, 1 Fe 2.22
Fe 0.6667 0.3333 0.6438  3 O 1.94
Fe 0.3333 0.6667 0.1438  3 O 1.94
W 0.3333 0.6667 0.3415  6 O 1.95-1.98
O 0.4846 0.9692 0.2548  1 W 1.98, 1 Fe 2.22
O 0.8288 0.6575 0.9147  1 W 1.95, 1 Fe 2.18
O 0.1712 0.3425 0.4147  1 W 1.95, 1 Fe 2.18
O 0.3286 0.1643 0.5803  2 Fe 1.94-1.98
O 0.4846 0.5154 0.2548  1 W 1.98, 1 Fe 2.22
Ba 0.6667 0.3333 0.1001  12 O 2.89-3.13

Output
* M_tot: 20.00 μB/cell
* formation enthalpy at 0 K: -37.84 eV per formula unit
* calculated total energy: -0.5042 Ry per atom
* space group: P6_3mc

=====

Entry 6:
Compound: Mn7SbP12O48
Source: the Materials Project database
Functional: PBE+U
Structure: optimized geometry

Cell: 8.4872 8.4798 11.8246 Å, 90.04 89.98 90.01°
Closest atoms and distances in Å follow each position.
Element x y z (fractional)
O 0.3416 0.7786 0.6765  1 P 1.53
O 0.9252 0.0987 0.8413  1 P 1.55
P 0.6039 0.3905 0.3495  4 O 1.53-1.54
O 0.0615 0.8624 0.5753  1 P 1.53
P 0.1071 0.3914 0.1450  4 O 1.52-1.55
P 0.8966 0.6095 0.8587  4 O 1.52-1.56
O 0.4405 0.3588 0.9232  1 P 1.53
O 0.6468 0.1579 0.9189  1 P 1.55
O 0.1528 0.2782 0.8243  1 P 1.53
O 0.3531 0.8405 0.0811  1 P 1.55
O 0.8463 0.7226 0.1766  1 P 1.53
O 0.6502 0.2727 0.6799  1 P 1.56
P 0.0417 0.2468 0.4980  4 O 1.53-1.55
O 0.6791 0.5129 0.2701  1 P 1.54
Sb 0.7496 0.4666 0.6207  6 O 1.96-1.98
P 0.3868 0.6091 0.6460  4 O 1.52-1.57
O 0.0765 0.6018 0.8442  1 P 1.54
O 0.8565 0.6650 0.5823  1 P 1.56
P 0.4636 0.7500 0.0000  4 O 1.53-1.55
O 0.1534 0.2221 0.1762  1 P 1.53
O 0.9462 0.3572 0.5773  1 P 1.55
P 0.3927 0.8917 0.3548  4 O 1.52-1.55
Mn 0.2502 0.9652 0.6180  6 O 1.89-1.93
P 0.8929 0.8919 0.1452  4 O 1.52-1.55
O 0.3400 0.5615 0.5263  1 P 1.52
O 0.6799 0.9823 0.7284  1 P 1.54
O 0.4247 0.0964 0.6585  1 P 1.54
P 0.9657 0.7546 0.4981  4 O 1.53-1.56
O 0.1596 0.0620 0.9733  1 P 1.52
O 0.5704 0.6055 0.6588  1 P 1.57
O 0.3173 0.4863 0.7276  1 P 1.54
O 0.1480 0.3401 0.4170  1 P 1.54
Mn 0.2501 0.5352 0.3819  6 O 1.88-1.93
O 0.8465 0.7769 0.8251  1 P 1.53
Mn 0.7505 0.5357 0.1180  6 O 1.86-1.93
O 0.4408 0.1408 0.0766  1 P 1.53
O 0.5744 0.9009 0.3410  1 P 1.55
Mn 0.7505 0.9643 0.8822  6 O 1.88-1.93
Mn 0.2497 0.4658 0.8817  6 O 1.89-1.92
O 0.0598 0.6412 0.4234  1 P 1.53
O 0.3471 0.7220 0.3236  1 P 1.53
O 0.8210 0.4839 0.7784  1 P 1.56
Mn 0.7495 0.0336 0.3812  6 O 1.90-1.92
Mn 0.2497 0.0351 0.1175  6 O 1.88-1.93
O 0.8405 0.9383 0.0267  1 P 1.52
O 0.8206 0.0136 0.2276  1 P 1.55
O 0.5598 0.6406 0.0766  1 P 1.53
O 0.8555 0.8430 0.4167  1 P 1.54
O 0.6469 0.3414 0.0808  1 P 1.54
P 0.6052 0.1009 0.6460  4 O 1.52-1.56
O 0.0745 0.9015 0.1588  1 P 1.55
P 0.1072 0.1086 0.8547  4 O 1.52-1.55
O 0.5600 0.8593 0.9234  1 P 1.53
O 0.6602 0.0632 0.5266  1 P 1.52
O 0.1597 0.4381 0.0268  1 P 1.52
O 0.4231 0.3998 0.3388  1 P 1.54
O 0.9256 0.4015 0.1591  1 P 1.55
O 0.1490 0.1575 0.5802  1 P 1.53
P 0.5371 0.2504 0.9998  4 O 1.53-1.55
O 0.3413 0.9381 0.4736  1 P 1.52
O 0.6525 0.2211 0.3223  1 P 1.53
O 0.8425 0.5641 0.9767  1 P 1.52
O 0.1774 0.5144 0.2279  1 P 1.55
O 0.3548 0.6583 0.9190  1 P 1.54
O 0.9402 0.1412 0.4232  1 P 1.53
O 0.1784 0.9869 0.7721  1 P 1.54
O 0.6571 0.4394 0.4693  1 P 1.54
O 0.3211 0.0131 0.2718  1 P 1.55

Output
* M_tot: 22.02 μB/cell
* formation enthalpy at 0 K: -151.19 eV per formula unit
* calculated total energy: -0.5159 Ry per atom
* space group: P1

=====

Entry 7:
Compound: Li10Ti2Fe3Ni3O16
Source: the Materials Project database
Functional: PBE+U
Structure: optimized geometry

Cell: 5.9561 5.9740 9.8275 Å, 89.74 89.49 60.32°
Closest atoms and distances in Å follow each position.
Element x y z (fractional)
O 0.8332 0.8244 0.0990  1 Li 1.90, 1 Ti 2.02
Fe 0.1664 0.1680 0.2269  6 O 2.05-2.25
Li 0.6597 0.6731 0.2479  6 O 2.10-2.30
Ni 0.6603 0.1688 0.2268  6 O 2.08-2.19
O 0.4921 0.0237 0.3624  3 Li 1.92-2.14, 1 Ti 1.97, 1 Ni 2.09
Ni 0.8315 0.3387 0.7271  6 O 2.07-2.20
O 0.3270 0.3400 0.1092  2 Fe 2.03-2.06, 3 Li 2.04-2.06, 1 Ni 2.08
Li 0.3306 0.3359 0.7474  6 O 2.11-2.24
O 0.1763 0.6596 0.6004  1 Li 1.91, 1 Ti 2.08
Fe 0.3434 0.8267 0.7285  6 O 2.00-2.20
Fe 0.1685 0.6574 0.2292  6 O 2.02-2.16
Li 0.1952 0.6131 0.9578  3 O 1.93-2.05, 1 Li 2.12
O 0.1721 0.1698 0.5971  1 Li 1.91, 1 Ti 1.97
Ti 0.6775 0.6560 0.9853  6 O 1.91-2.11
Li 0.3811 0.8086 0.4582  3 O 1.95-2.07, 1 Li 2.12
O 0.9778 0.5120 0.8581  3 Li 1.94-2.12, 1 Ti 1.99, 2 Ni 2.09-2.10
O 0.5074 0.5136 0.8539  3 Li 1.93-2.11, 1 Fe 2.04, 1 Ti 2.07, 1 Ni 2.08
Li 0.9930 0.0019 0.5301  4 O 1.88-1.91
O 0.0035 0.9911 0.3358  1 Li 1.91, 2 Fe 2.02-2.05, 1 Ni 2.08
O 0.5060 0.9801 0.8555  3 Li 1.94-2.13, 1 Fe 2.06, 1 Ni 2.09, 1 Ti 2.11
Ni 0.8318 0.8301 0.7279  6 O 2.07-2.23
Li 0.7955 0.4009 0.4647  3 O 1.98-2.00, 1 Li 2.17
O 0.6501 0.1780 0.5951  1 Li 1.88, 1 Ti 1.93
Li 0.7968 0.8092 0.4650  3 O 1.92-2.00, 1 Li 2.11
O 0.6575 0.6723 0.6094  1 Fe 2.00, 3 Li 2.00-2.07, 2 Ni 2.08
O 0.0101 0.9958 0.8351  1 Li 1.88, 1 Fe 2.01, 2 Ni 2.07
O 0.0145 0.5021 0.3582  3 Li 1.95-2.14, 2 Fe 2.03-2.16, 1 Ti 2.12
Li 0.6051 0.1999 0.9614  3 O 1.97-2.04, 1 Li 2.15
Li 0.0010 0.0004 0.0268  4 O 1.88-1.92, 1 Li 2.11
Ti 0.3404 0.3214 0.4865  6 O 1.93-2.12
O 0.3452 0.8158 0.0967  1 Li 1.92, 1 Ti 2.03
O 0.4837 0.4943 0.3535  3 Li 1.96-2.10, 1 Fe 2.05, 1 Ti 2.08, 1 Ni 2.10
O 0.8205 0.3465 0.0903  1 Li 1.90, 1 Ti 1.91
Li 0.1933 0.1972 0.9589  3 O 1.94-2.06, 1 Li 2.11

Output
* M_tot: 20.00 μB/cell
* formation enthalpy at 0 K: -71.73 eV per formula unit
* calculated total energy: -0.4391 Ry per atom
* space group: P1

=====

Entry 8:
Compound: Sc7V9O24
Source: the Materials Project database
Functional: PBE+U
Structure: optimized geometry

Cell: 8.3827 8.4682 8.4675 Å, 109.54 109.50 109.60°
Closest atoms and distances in Å follow each position.
Element x y z (fractional)
Sc 0.7491 0.2854 0.5348  6 O 2.09-2.17
O 0.5016 0.7676 0.0383  2 V 2.03-2.13, 2 Sc 2.10-2.13
V 0.4676 0.2524 0.7183  6 O 2.03-2.14
O 0.9832 0.9554 0.7302  2 V 2.04-2.13, 2 Sc 2.08-2.14
O 0.0407 0.2761 0.0122  3 V 2.06-2.13, 1 Sc 2.11
V 0.7830 0.0338 0.7518  6 O 2.00-2.16
Sc 0.2891 0.5353 0.7497  6 O 2.08-2.16
Sc 0.0342 0.7509 0.7879  6 O 2.08-2.17
O 0.7859 0.7293 0.2709  3 V 2.02-2.15, 1 Sc 2.17
Sc 0.2493 0.7128 0.4626  6 O 2.09-2.17
V 0.9985 0.9989 0.5011  6 O 2.02-2.15
O 0.2211 0.2669 0.7299  2 V 2.05-2.14, 2 Sc 2.08-2.13
O 0.5147 0.2448 0.9663  3 V 2.03-2.13, 1 Sc 2.14
O 0.7229 0.2554 0.7699  3 V 2.03-2.10, 1 Sc 2.16
V 0.9620 0.2481 0.2113  6 O 2.04-2.15
Sc 0.2123 0.9654 0.2517  6 O 2.08-2.15
O 0.5512 0.5341 0.7748  3 V 2.07-2.12, 1 Sc 2.14
O 0.7717 0.0384 0.4946  2 V 2.02-2.16, 2 Sc 2.09-2.12
Sc 0.2501 0.2146 0.9640  6 O 2.08-2.14
O 0.7208 0.9899 0.9467  4 V 2.00-2.15
O 0.2258 0.4491 0.4593  2 V 2.04-2.09, 2 Sc 2.13-2.17
V 0.5037 0.0026 0.9972  6 O 2.03-2.13
O 0.2826 0.0115 0.0488  1 V 2.06, 3 Sc 2.10-2.16
O 0.9948 0.0400 0.2634  3 V 2.03-2.15, 1 Sc 2.14
O 0.0360 0.4907 0.7712  1 V 2.06, 3 Sc 2.11-2.17
O 0.5388 0.7696 0.5474  2 V 2.04-2.07, 2 Sc 2.11-2.15
V 0.9948 0.4976 0.9998  6 O 2.06-2.10
O 0.2379 0.9703 0.5149  2 V 2.07-2.08, 2 Sc 2.12-2.15
V 0.7157 0.4659 0.2466  6 O 2.01-2.15
V 0.5018 0.5005 0.5003  6 O 2.04-2.12
O 0.2669 0.7761 0.7307  1 V 2.07, 3 Sc 2.09-2.16
O 0.4560 0.4641 0.2311  2 V 2.08-2.13, 2 Sc 2.08-2.10
O 0.9595 0.5048 0.2311  3 V 2.01-2.13, 1 Sc 2.12
O 0.7705 0.5449 0.5272  2 V 2.07, 2 Sc 2.09-2.17
O 0.2711 0.7365 0.2252  3 Sc 2.09-2.15, 1 V 2.10
Sc 0.5405 0.7494 0.2879  6 O 2.09-2.17
V 0.7500 0.7888 0.0373  6 O 2.03-2.15
O 0.7333 0.2238 0.2639  3 V 2.04-2.15, 1 Sc 2.12
O 0.9494 0.7228 0.9916  2 V 2.04-2.08, 2 Sc 2.13-2.15
O 0.4621 0.2353 0.4581  2 V 2.04-2.14, 2 Sc 2.08-2.12

Output
* distance to the lowest polymorph of the same formula: 0 meV per atom
* formation enthalpy at 0 K: -126.29 eV per formula unit
* calculated total energy: -0.6235 Ry per atom
* space group: P1